No. 1
Density functional theory data (PBE) for crystalline Ba2NdBiO6 at its relaxed geometry.

Values from the calculation:
energy of formation from the pure elements = -2.76 eV per atom
magnetic moment = 0.000 μB/f.u.
crystal system = monoclinic
energy with MP2020 corrections = -0.5132 Ry per atom
ρ = 6.96 g/cm3

Cell: 10.7777 6.2423 6.2838 Å, 90.00 125.16 90.00°
Last column: nearest neighbours and their distance in Å.
Space group C2/m (No. 12)
Inequivalent atoms, fractional coordinates:
Ba: 0.2483 0.0000 0.2398 x4  5 O 2.74-2.87
Nd: 0.0000 0.0000 0.5000 x2  6 O 2.34-2.35
Bi: 0.0000 0.5000 0.0000 x2  6 O 2.15
O: 0.0404 0.2589 0.8025 x8  1 Bi 2.15, 1 Nd 2.34
O: 0.2382 0.5000 0.3106 x4  1 Bi 2.15, 1 Nd 2.35


No. 2
Density functional theory data (PBE) for crystalline Mg2Ge at its relaxed geometry.

Values from the calculation:
energy of formation from the pure elements = -0.12 eV per atom
magnetic moment = 0.000 μB/f.u.
crystal system = hexagonal
ρ = 3.40 g/cm3

Cell: 4.7369 4.7369 6.0989 Å, 90.00 90.00 120.00°
Last column: nearest neighbours and their distance in Å.
Space group P6_3/mmc (No. 194)
Inequivalent atoms, fractional coordinates:
Mg: 0.0000 0.0000 0.0000 x2  8 Mg 3.05-3.13, 6 Ge 3.13
Mg: 0.3333 0.6667 0.2500 x2  5 Ge 2.73-3.05
Ge: 0.3333 0.6667 0.7500 x2  5 Mg 2.73-3.05


No. 3
Density functional theory data (PBE) for crystalline Br at its relaxed geometry.

Values from the calculation:
energy of formation from the pure elements = 0.20 eV per atom
magnetic moment = 0.000 μB/f.u.
energy relative to the lowest polymorph listed for this composition = 0.2011 eV per atom
crystal system = tetragonal
ρ = 3.67 g/cm3

Cell: 2.8744 2.8744 8.7601 Å, 90.00 90.00 90.00°
Last column: nearest neighbours and their distance in Å.
Space group I4/mmm (No. 139)
Inequivalent atoms, fractional coordinates:
Br: 0.0000 0.0000 0.0000 x2  4 Br 2.87